{
  "formula": "SrMg",
  "functional": "r2SCAN",
  "state": "relaxed",
  "cell": [[5.720, 0.000, 0.000], [0.000, 5.933, 0.000], [0.000, 0.000, 4.241]],
  "species": ["Sr", "Sr", "Mg", "Mg"],
  "frac_coords": [[0.250, 0.250, 0.002], [0.750, 0.750, 0.998], [0.250, 0.750, 0.499], [0.750, 0.250, 0.501]],
  "spacegroup": "Pmmn"
}

{
  "formula": "TbMg3",
  "functional": "r2SCAN",
  "state": "relaxed",
  "cell": [[6.677, 0.000, 0.000], [-3.338, 5.782, 0.000], [0.000, 0.000, 5.168]],
  "species": ["Tb", "Tb", "Mg", "Mg", "Mg", "Mg", "Mg", "Mg"],
  "frac_coords": [[0.333, 0.667, 0.250], [0.667, 0.333, 0.750], [0.163, 0.326, 0.750], [0.163, 0.837, 0.750], [0.326, 0.163, 0.250], [0.674, 0.837, 0.750], [0.837, 0.163, 0.250], [0.837, 0.674, 0.250]],
  "spacegroup": "P6_3/mmc"
}

{
  "formula": "TbMg2",
  "functional": "r2SCAN",
  "state": "relaxed",
  "cell": [[6.051, 0.000, 0.000], [-3.025, 5.240, 0.000], [0.000, 0.000, 9.797]],
  "species": ["Tb", "Tb", "Tb", "Tb", "Mg", "Mg", "Mg", "Mg", "Mg", "Mg", "Mg", "Mg"],
  "frac_coords": [[0.333, 0.667, 0.065], [0.333, 0.667, 0.435], [0.667, 0.333, 0.565], [0.667, 0.333, 0.935], [0.000, 0.000, 0.000], [0.000, 0.000, 0.500], [0.171, 0.342, 0.750], [0.171, 0.829, 0.750], [0.342, 0.171, 0.250], [0.658, 0.829, 0.750], [0.829, 0.171, 0.250], [0.829, 0.658, 0.250]],
  "spacegroup": "P6_3/mmc"
}

{
  "formula": "TbMg3",
  "functional": "r2SCAN",
  "state": "relaxed",
  "cell": [[0.000, 3.645, 3.645], [3.645, 0.000, 3.645], [3.645, 3.645, 0.000]],
  "species": ["Tb", "Mg", "Mg", "Mg"],
  "frac_coords": [[0.000, 0.000, 0.000], [0.250, 0.250, 0.250], [0.500, 0.500, 0.500], [0.750, 0.750, 0.750]],
  "spacegroup": "Fm-3m"
}

{
  "formula": "TbMg",
  "functional": "r2SCAN",
  "state": "relaxed",
  "cell": [[3.799, 0.000, 0.000], [0.000, 3.799, 0.000], [0.000, 0.000, 3.799]],
  "species": ["Tb", "Mg"],
  "frac_coords": [[0.000, 0.000, 0.000], [0.500, 0.500, 0.500]],
  "spacegroup": "Pm-3m"
}

{
  "formula": "TbMgZn2",
  "functional": "r2SCAN",
  "state": "relaxed",
  "cell": [[0.000, 3.394, 3.394], [3.394, 0.000, 3.394], [3.394, 3.394, 0.000]],
  "species": ["Tb", "Mg", "Zn", "Zn"],
  "frac_coords": [[0.000, 0.000, 0.000], [0.500, 0.500, 0.500], [0.250, 0.250, 0.250], [0.750, 0.750, 0.750]],
  "spacegroup": "Fm-3m"
}

{
  "formula": "MgTe2",
  "functional": "r2SCAN",
  "state": "relaxed",
  "cell": [[7.087, 0.000, 0.000], [0.000, 7.087, 0.000], [0.000, 0.000, 7.087]],
  "species": ["Mg", "Mg", "Mg", "Mg", "Te", "Te", "Te", "Te", "Te", "Te", "Te", "Te"],
  "frac_coords": [[0.000, 0.000, 0.000], [0.000, 0.500, 0.500], [0.500, 0.000, 0.500], [0.500, 0.500, 0.000], [0.113, 0.613, 0.887], [0.113, 0.887, 0.387], [0.387, 0.113, 0.887], [0.387, 0.387, 0.387], [0.613, 0.613, 0.613], [0.613, 0.887, 0.113], [0.887, 0.113, 0.613], [0.887, 0.387, 0.113]],
  "spacegroup": "Pa-3"
}

{
  "formula": "ThMg3",
  "functional": "r2SCAN",
  "state": "relaxed",
  "cell": [[6.763, 0.000, 0.000], [-3.381, 5.857, 0.000], [0.000, 0.000, 5.214]],
  "species": ["Th", "Th", "Mg", "Mg", "Mg", "Mg", "Mg", "Mg"],
  "frac_coords": [[0.333, 0.667, 0.250], [0.667, 0.333, 0.750], [0.161, 0.322, 0.750], [0.161, 0.839, 0.750], [0.322, 0.161, 0.250], [0.678, 0.839, 0.750], [0.839, 0.161, 0.250], [0.839, 0.678, 0.250]],
  "spacegroup": "P6_3/mmc"
}

Number 1: DFT formation energy -7 meV/atom. Number 2: DFT formation energy -75 meV/atom. Number 3: DFT formation energy -89 meV/atom. Number 4: DFT formation energy -93 meV/atom. Number 5: DFT formation energy -102 meV/atom. Number 6: DFT formation energy -365 meV/atom. Number 7: DFT formation energy -711 meV/atom. Number 8: DFT formation energy 40 meV/atom.